ScPRu meta-GGA r2SCAN optimized geometry; formation energy from the elements = -1.264 eV per atom; spin magnetization = 0.000 μB per formula unit; volume = 14.95 Å³/atom
1.0
6.544 0.000 0.000
-3.272 5.667 0.000
0.000 0.000 3.628
Ru P Sc
3 3 3
Direct
0.757 0.757 0.000
0.243 0.000 0.000
0.000 0.243 0.000
0.000 0.000 0.500
0.333 0.667 0.000
0.667 0.333 0.000
0.000 0.589 0.500
0.411 0.411 0.500
0.589 0.000 0.500


YAl6Fe6 meta-GGA r2SCAN optimized geometry; formation energy from the elements = -0.330 eV per atom; spin magnetization = 12.204 μB per formula unit; volume = 14.14 Å³/atom
1.0
0.820 -3.783 3.113
-3.224 -5.437 -1.795
4.374 0.178 -4.900
Al Fe Y
6 6 1
Direct
0.000 0.662 0.662
0.653 0.347 0.653
0.304 0.196 0.804
0.347 0.653 0.347
0.696 0.804 0.196
0.000 0.338 0.338
0.000 0.000 0.500
0.500 0.500 0.000
0.500 0.239 0.239
0.500 0.000 0.500
0.500 0.761 0.761
0.000 0.500 0.000
0.000 0.000 0.000


Nb2RuW meta-GGA r2SCAN optimized geometry; formation energy from the elements = -0.159 eV per atom; spin magnetization = 0.000 μB per formula unit; volume = 16.48 Å³/atom
1.0
2.852 0.300 3.512
-1.385 1.868 3.892
-0.632 -2.597 3.662
Ru W Nb
1 1 2
Direct
0.250 0.250 0.250
0.750 0.750 0.750
0.500 0.500 0.500
0.000 0.000 0.000


SmAgAu2 meta-GGA r2SCAN optimized geometry; formation energy from the elements = -0.639 eV per atom; spin magnetization = 0.000 μB per formula unit; volume = 21.07 Å³/atom
1.0
0.000 3.480 3.480
3.480 0.000 3.480
3.480 3.480 0.000
Au Ag Sm
2 1 1
Direct
0.000 0.000 0.000
0.500 0.500 0.500
0.250 0.250 0.250
0.750 0.750 0.750


MnP2O7 meta-GGA r2SCAN optimized geometry; formation energy from the elements = -2.245 eV per atom; spin magnetization = 3.000 μB per formula unit; excess energy over the best structure of this formula in the dataset = 10 meV/atom; volume = 11.82 Å³/atom
1.0
7.700 0.000 0.000
0.000 4.688 0.012
0.000 1.898 6.554
O Mn P
14 2 4
Direct
0.357 0.416 0.732
0.308 0.409 0.366
0.857 0.584 0.268
0.679 0.052 0.165
0.126 0.721 0.516
0.626 0.279 0.484
0.066 0.414 0.907
0.330 0.130 0.092
0.179 0.948 0.835
0.946 0.151 0.542
0.830 0.870 0.908
0.446 0.849 0.458
0.808 0.591 0.634
0.566 0.586 0.093
0.491 0.220 0.271
0.991 0.780 0.729
0.226 0.225 0.898
0.726 0.775 0.102
0.810 0.391 0.493
0.310 0.609 0.507


LiCaAs meta-GGA r2SCAN optimized geometry; formation energy from the elements = -1.236 eV per atom; spin magnetization = 0.000 μB per formula unit; volume = 20.48 Å³/atom
1.0
-1.494 2.405 3.255
4.359 -3.502 4.588
5.663 5.312 -1.327
Li As Ca
4 4 4
Direct
0.250 0.648 0.430
0.750 0.352 0.570
0.750 0.852 0.930
0.250 0.148 0.070
0.750 0.731 0.602
0.750 0.231 0.898
0.250 0.769 0.102
0.250 0.269 0.398
0.750 0.486 0.198
0.750 0.986 0.302
0.250 0.014 0.698
0.250 0.514 0.802